# CsAlH24Se2O20 (GGA-PBE, optimized geometry)
data_CsAlH24Se2O20
_space_group_name_H-M_alt 'P a -3'
_space_group_IT_number 205
_space_group_name_Hall '-P 2ac 2ab 3'
_cell_length_a 12.6785
_cell_length_b 12.6785
_cell_length_c 12.6785
_cell_angle_alpha 90.00
_cell_angle_beta 90.00
_cell_angle_gamma 90.00
loop_
_atom_site_label
_atom_site_type_symbol
_atom_site_fract_x
_atom_site_fract_y
_atom_site_fract_z
Cs1 Cs 0.0000 0.0000 0.0000
Al1 Al 0.0000 0.0000 0.5000
H1 H 0.0028 0.1987 0.7738
H2 H 0.0246 0.5490 0.7999
H3 H 0.0344 0.0791 0.3147
H4 H 0.1162 0.6672 0.7221
Se1 Se 0.1907 0.1907 0.1907
O1 O 0.0124 0.1493 0.5125
O2 O 0.0444 0.6373 0.7134
O3 O 0.0689 0.1846 0.2416
O4 O 0.2325 0.7325 0.7675
# ΔH_f (0 K) (kJ per mole of atoms): -137.15
# E (MP2020) (eV/atom): -5.4218
# Final energy (eV/f.u.): -246.5


# Cs3AlI6 (GGA-PBE, optimized geometry)
data_Cs3AlI6
_space_group_name_H-M_alt 'F m -3 m'
_space_group_IT_number 225
_space_group_name_Hall '-F 4 2 3'
_cell_length_a 12.7928
_cell_length_b 12.7928
_cell_length_c 12.7928
_cell_angle_alpha 90.00
_cell_angle_beta 90.00
_cell_angle_gamma 90.00
loop_
_atom_site_label
_atom_site_type_symbol
_atom_site_fract_x
_atom_site_fract_y
_atom_site_fract_z
Cs1 Cs 0.0000 0.0000 0.0000
Cs2 Cs 0.2500 0.2500 0.2500
Al1 Al 0.0000 0.0000 0.5000
I1 I 0.0000 0.0000 0.2826
# ΔH_f (0 K) (kJ per mole of atoms): -131.21
# E (MP2020) (eV/atom): -2.9175
# Final energy (eV/f.u.): -26.9


# Cs2KAlI6 (GGA-PBE, optimized geometry)
data_Cs2KAlI6
_space_group_name_H-M_alt 'F m -3 m'
_space_group_IT_number 225
_space_group_name_Hall '-F 4 2 3'
_cell_length_a 12.3817
_cell_length_b 12.3817
_cell_length_c 12.3817
_cell_angle_alpha 90.00
_cell_angle_beta 90.00
_cell_angle_gamma 90.00
loop_
_atom_site_label
_atom_site_type_symbol
_atom_site_fract_x
_atom_site_fract_y
_atom_site_fract_z
Cs1 Cs 0.2500 0.2500 0.2500
K1 K 0.0000 0.0000 0.0000
Al1 Al 0.0000 0.0000 0.5000
I1 I 0.0000 0.0000 0.2752
# ΔH_f (0 K) (kJ per mole of atoms): -132.10
# E (MP2020) (eV/atom): -2.9482
# Final energy (eV/f.u.): -27.2


# CsK2AlI6 (GGA-PBE, optimized geometry)
data_CsK2AlI6
_space_group_name_H-M_alt 'F m -3 m'
_space_group_IT_number 225
_space_group_name_Hall '-F 4 2 3'
_cell_length_a 12.7036
_cell_length_b 12.7036
_cell_length_c 12.7036
_cell_angle_alpha 90.00
_cell_angle_beta 90.00
_cell_angle_gamma 90.00
loop_
_atom_site_label
_atom_site_type_symbol
_atom_site_fract_x
_atom_site_fract_y
_atom_site_fract_z
Cs1 Cs 0.0000 0.0000 0.0000
K1 K 0.2500 0.2500 0.2500
Al1 Al 0.0000 0.0000 0.5000
I1 I 0.0000 0.0000 0.2817
# ΔH_f (0 K) (kJ per mole of atoms): -121.02
# E (MP2020) (eV/atom): -2.8549
# Final energy (eV/f.u.): -26.3


# CsRb2AlI6 (GGA-PBE, optimized geometry)
data_CsRb2AlI6
_space_group_name_H-M_alt 'F m -3 m'
_space_group_IT_number 225
_space_group_name_Hall '-F 4 2 3'
_cell_length_a 12.7529
_cell_length_b 12.7529
_cell_length_c 12.7529
_cell_angle_alpha 90.00
_cell_angle_beta 90.00
_cell_angle_gamma 90.00
loop_
_atom_site_label
_atom_site_type_symbol
_atom_site_fract_x
_atom_site_fract_y
_atom_site_fract_z
Cs1 Cs 0.0000 0.0000 0.0000
Rb1 Rb 0.2500 0.2500 0.2500
Al1 Al 0.0000 0.0000 0.5000
I1 I 0.0000 0.0000 0.2823
# ΔH_f (0 K) (kJ per mole of atoms): -125.63
# E (MP2020) (eV/atom): -2.8766
# Final energy (eV/f.u.): -26.5


# Cs2RbAlI6 (GGA-PBE, optimized geometry)
data_Cs2RbAlI6
_space_group_name_H-M_alt 'F m -3 m'
_space_group_IT_number 225
_space_group_name_Hall '-F 4 2 3'
_cell_length_a 12.5574
_cell_length_b 12.5574
_cell_length_c 12.5574
_cell_angle_alpha 90.00
_cell_angle_beta 90.00
_cell_angle_gamma 90.00
loop_
_atom_site_label
_atom_site_type_symbol
_atom_site_fract_x
_atom_site_fract_y
_atom_site_fract_z
Cs1 Cs 0.2500 0.2500 0.2500
Rb1 Rb 0.0000 0.0000 0.0000
Al1 Al 0.0000 0.0000 0.5000
I1 I 0.0000 0.0000 0.2784
# ΔH_f (0 K) (kJ per mole of atoms): -131.62
# E (MP2020) (eV/atom): -2.9302
# Final energy (eV/f.u.): -27.0


# Cs6K3AlSb4 (GGA-PBE, optimized geometry)
data_Cs6K3AlSb4
_space_group_name_H-M_alt 'P 63/m m c'
_space_group_IT_number 194
_space_group_name_Hall '-P 6c 2c'
_cell_length_a 11.1758
_cell_length_b 11.1758
_cell_length_c 11.7178
_cell_angle_alpha 90.00
_cell_angle_beta 90.00
_cell_angle_gamma 120.00
loop_
_atom_site_label
_atom_site_type_symbol
_atom_site_fract_x
_atom_site_fract_y
_atom_site_fract_z
Cs1 Cs 0.2089 0.4178 0.0435
K1 K 0.1195 0.2391 0.7500
Al1 Al 0.3333 0.6667 0.7500
Sb1 Sb 0.0000 0.0000 0.0000
Sb2 Sb 0.0556 0.5278 0.7500
# ΔH_f (0 K) (kJ per mole of atoms): -45.85
# E (MP2020) (eV/atom): -2.5441
# Final energy (eV/f.u.): -34.8


# CsMg14Al (GGA-PBE, optimized geometry)
data_CsMg14Al
_space_group_name_H-M_alt 'P -6 m 2'
_space_group_IT_number 187
_space_group_name_Hall 'P -6 2'
_cell_length_a 6.5057
_cell_length_b 6.5057
_cell_length_c 10.8144
_cell_angle_alpha 90.00
_cell_angle_beta 90.00
_cell_angle_gamma 120.00
loop_
_atom_site_label
_atom_site_type_symbol
_atom_site_fract_x
_atom_site_fract_y
_atom_site_fract_z
Cs1 Cs 0.0000 0.0000 0.0000
Mg1 Mg 0.0055 0.5027 0.0000
Mg2 Mg 0.1700 0.3399 0.2702
Mg3 Mg 0.5028 0.0057 0.5000
Mg4 Mg 0.6667 0.3333 0.2449
Al1 Al 0.0000 0.0000 0.5000
# ΔH_f (0 K) (kJ per mole of atoms): 17.63
# Excess energy over the best structure of this formula in the dataset (kJ per mole of atoms): 0.5
# Final energy (eV/f.u.): -24.1


# CsMg14Al (GGA-PBE, optimized geometry)
data_CsMg14Al
_space_group_name_H-M_alt 'A m m 2'
_space_group_IT_number 38
_space_group_name_Hall 'A 2 -2'
_cell_length_a 10.6125
_cell_length_b 6.7301
_cell_length_c 11.2589
_cell_angle_alpha 90.00
_cell_angle_beta 90.00
_cell_angle_gamma 90.00
loop_
_atom_site_label
_atom_site_type_symbol
_atom_site_fract_x
_atom_site_fract_y
_atom_site_fract_z
Cs1 Cs 0.0000 0.0000 0.0000
Mg1 Mg 0.0000 0.2414 0.2530
Mg2 Mg 0.2390 0.0000 0.6632
Mg3 Mg 0.2638 0.2355 0.4140
Mg4 Mg 0.2705 0.0000 0.1725
Mg5 Mg 0.5000 0.0000 0.4982
Mg6 Mg 0.5000 0.0000 0.9954
Mg7 Mg 0.5000 0.2444 0.7463
Al1 Al 0.0000 0.0000 0.4783
# ΔH_f (0 K) (kJ per mole of atoms): 17.13
# Excess energy over the best structure of this formula in the dataset (kJ per mole of atoms): 0.0
# Final energy (eV/f.u.): -24.2


# Cs3AlO3 (GGA-PBE, optimized geometry)
data_Cs3AlO3
_space_group_name_H-M_alt 'P 1 21/c 1'
_space_group_IT_number 14
_space_group_name_Hall '-P 2ybc'
_cell_length_a 8.0217
_cell_length_b 13.0565
_cell_length_c 7.2839
_cell_angle_alpha 90.00
_cell_angle_beta 114.17
_cell_angle_gamma 90.00
loop_
_atom_site_label
_atom_site_type_symbol
_atom_site_fract_x
_atom_site_fract_y
_atom_site_fract_z
Cs1 Cs 0.0167 0.1494 0.4415
Cs2 Cs 0.2281 0.0608 0.0175
Cs3 Cs 0.4275 0.6955 0.6368
Al1 Al 0.3596 0.5447 0.0139
O1 O 0.1761 0.5990 0.8030
O2 O 0.3324 0.5617 0.2411
O3 O 0.4137 0.0879 0.4676
# ΔH_f (0 K) (kJ per mole of atoms): -208.63
# E (MP2020) (eV/atom): -5.2017
# Final energy (eV/f.u.): -34.4


# Cs9AlO4 (GGA-PBE, optimized geometry)
data_Cs9AlO4
_space_group_name_H-M_alt 'I 4/m c m'
_space_group_IT_number 140
_space_group_name_Hall '-I 4 2c'
_cell_length_a 15.2195
_cell_length_b 15.2195
_cell_length_c 12.6716
_cell_angle_alpha 90.00
_cell_angle_beta 90.00
_cell_angle_gamma 90.00
loop_
_atom_site_label
_atom_site_type_symbol
_atom_site_fract_x
_atom_site_fract_y
_atom_site_fract_z
Cs1 Cs 0.0000 0.0000 0.0000
Cs2 Cs 0.0000 0.2689 0.2500
Cs3 Cs 0.0832 0.4168 0.0000
Cs4 Cs 0.1675 0.3325 0.5000
Al1 Al 0.0000 0.5000 0.2500
O1 O 0.0684 0.4316 0.3349
# ΔH_f (0 K) (kJ per mole of atoms): -131.51
# E (MP2020) (eV/atom): -3.6199
# Final energy (eV/f.u.): -47.9